DFT (GGA-PBE) results for a relaxed structure of Na2Zn4SiGe4S11O48.

Properties
For the total magnetization, the calculation gives 0.0 μB/cell. The value obtained for the formation energy is -1887 meV/atom. For the energy, the calculation gives -413.7 eV per formula unit.

The structure in CIF format:
```
data_Na2Zn4SiGe4S11O48
_cell_length_a 8.538
_cell_length_b 14.774
_cell_length_c 22.199
_cell_angle_alpha 90.00
_cell_angle_beta 90.09
_cell_angle_gamma 90.06
_symmetry_space_group_name_H-M 'P 1'
_symmetry_Int_Tables_number 1
loop_
_symmetry_equiv_pos_as_xyz
'x,y,z'
loop_
_atom_site_label
_atom_site_fract_x
_atom_site_fract_y
_atom_site_fract_z
Na1 0.000 0.000 0.000
Na2 0.000 0.001 0.505
Na3 0.508 0.503 0.007
Na4 0.508 0.507 0.501
Na5 0.513 0.843 0.842
Na6 0.997 0.341 0.338
Zn1 0.002 0.003 0.352
Zn2 0.002 0.678 0.529
Zn3 0.003 0.003 0.657
Zn4 0.005 0.005 0.156
Zn5 0.499 0.509 0.656
Zn6 0.501 0.176 0.816
Zn7 0.502 0.504 0.854
Zn8 0.503 0.836 0.481
Zn9 0.509 0.501 0.356
Zn10 0.511 0.501 0.152
Zn11 0.516 0.839 0.980
Zn12 0.999 0.002 0.857
Si1 0.644 0.317 0.424
Si2 0.711 0.339 0.085
Si3 0.859 0.819 0.920
Ge1 0.001 0.681 0.024
Ge2 0.002 0.675 0.320
Ge3 0.503 0.839 0.188
Ge4 0.504 0.174 0.524
Ge5 0.507 0.841 0.687
Ge6 0.510 0.175 0.025
Ge7 0.515 0.177 0.318
Ge8 0.992 0.342 0.483
Ge9 0.993 0.339 0.185
Ge10 0.994 0.342 0.984
Ge11 0.997 0.676 0.818
Ge12 0.998 0.339 0.694
S1 0.141 0.488 0.085
S2 0.145 0.155 0.752
S3 0.145 0.528 0.423
S4 0.146 0.819 0.420
S5 0.149 0.196 0.086
S6 0.157 0.854 0.753
S7 0.199 0.508 0.755
S8 0.213 0.837 0.087
S9 0.216 0.174 0.423
S10 0.284 0.337 0.585
S11 0.285 0.670 0.921
S12 0.307 0.008 0.254
S13 0.348 0.319 0.925
S14 0.348 0.355 0.253
S15 0.353 0.656 0.254
S16 0.360 0.034 0.923
S17 0.360 0.695 0.588
S18 0.360 0.989 0.585
S19 0.644 0.031 0.421
S20 0.645 0.986 0.088
S21 0.651 0.360 0.752
S22 0.651 0.696 0.088
S23 0.654 0.656 0.754
S24 0.702 0.005 0.751
S25 0.716 0.674 0.420
S26 0.792 0.842 0.587
S27 0.796 0.177 0.923
S28 0.808 0.508 0.255
S29 0.850 0.855 0.254
S30 0.854 0.156 0.254
S31 0.855 0.196 0.586
S32 0.860 0.482 0.589
S33 0.863 0.528 0.922
O1 0.057 0.576 0.077
O2 0.066 0.250 0.745
O3 0.068 0.447 0.140
O4 0.068 0.565 0.366
O5 0.069 0.117 0.805
O6 0.070 0.434 0.427
O7 0.071 0.908 0.413
O8 0.074 0.778 0.473
O9 0.075 0.108 0.093
O10 0.076 0.239 0.032
O11 0.087 0.891 0.699
O12 0.093 0.588 0.764
O13 0.093 0.760 0.761
O14 0.098 0.425 0.746
O15 0.109 0.915 0.095
O16 0.112 0.096 0.417
O17 0.114 0.580 0.477
O18 0.119 0.104 0.697
O19 0.120 0.749 0.084
O20 0.120 0.761 0.363
O21 0.122 0.428 0.031
O22 0.125 0.260 0.429
O23 0.131 0.255 0.142
O24 0.141 0.910 0.807
O25 0.171 0.344 0.244
O26 0.173 0.327 0.934
O27 0.177 0.668 0.263
O28 0.185 0.353 0.530
O29 0.187 0.321 0.640
O30 0.188 0.651 0.977
O31 0.188 0.680 0.865
O32 0.189 0.033 0.921
O33 0.190 0.688 0.586
O34 0.192 0.003 0.593
O35 0.214 0.027 0.201
O36 0.214 0.989 0.308
O37 0.289 0.527 0.701
O38 0.292 0.489 0.809
O39 0.307 0.501 0.092
O40 0.309 0.850 0.034
O41 0.310 0.155 0.478
O42 0.310 0.822 0.144
O43 0.312 0.171 0.759
O44 0.312 0.190 0.368
O45 0.313 0.519 0.414
O46 0.315 0.826 0.423
O47 0.321 0.189 0.079
O48 0.335 0.845 0.745
O49 0.362 0.409 0.308
O50 0.367 0.266 0.871
O51 0.370 0.601 0.200
O52 0.370 0.754 0.926
O53 0.375 0.251 0.580
O54 0.384 0.416 0.590
O55 0.385 0.935 0.531
O56 0.386 0.590 0.917
O57 0.388 0.754 0.645
O58 0.391 0.091 0.981
O59 0.410 0.926 0.245
O60 0.411 0.090 0.264
O61 0.415 0.261 0.262
O62 0.418 0.410 0.921
O63 0.420 0.392 0.200
O64 0.422 0.750 0.245
O65 0.423 0.277 0.980
O66 0.426 0.619 0.308
O67 0.426 0.944 0.930
O68 0.431 0.735 0.535
O69 0.432 0.075 0.870
O70 0.433 0.951 0.641
O71 0.434 0.605 0.596
O72 0.442 0.082 0.580
O73 0.563 0.075 0.083
O74 0.565 0.270 0.483
O75 0.568 0.072 0.365
O76 0.569 0.415 0.419
O77 0.570 0.944 0.426
O78 0.571 0.946 0.145
O79 0.579 0.608 0.097
O80 0.581 0.620 0.809
O81 0.582 0.736 0.034
O82 0.583 0.400 0.697
O83 0.585 0.750 0.747
O84 0.589 0.270 0.759
O85 0.597 0.081 0.759
O86 0.598 0.918 0.745
O87 0.603 0.427 0.090
O88 0.609 0.246 0.076
O89 0.614 0.595 0.413
O90 0.619 0.089 0.477
O91 0.623 0.930 0.035
O92 0.625 0.254 0.362
O93 0.626 0.758 0.423
O94 0.630 0.603 0.700
O95 0.632 0.755 0.144
O96 0.635 0.417 0.806
O97 0.672 0.820 0.920
O98 0.675 0.844 0.245
O99 0.679 0.165 0.259
O100 0.681 0.190 0.580
O101 0.691 0.487 0.593
O102 0.693 0.517 0.917
O103 0.693 0.827 0.644
O104 0.694 0.858 0.535
O105 0.697 0.159 0.978
O106 0.700 0.195 0.870
O107 0.717 0.525 0.201
O108 0.718 0.487 0.309
O109 0.794 0.017 0.696
O110 0.795 0.983 0.805
O111 0.813 0.657 0.473
O112 0.814 0.000 0.097
O113 0.815 0.027 0.415
O114 0.816 0.688 0.363
O115 0.820 0.317 0.146
O116 0.826 0.359 0.027
O117 0.827 0.687 0.083
O118 0.829 0.663 0.760
O119 0.830 0.353 0.745
O120 0.840 0.321 0.430
O121 0.865 0.911 0.308
O122 0.878 0.254 0.640
O123 0.880 0.104 0.200
O124 0.883 0.423 0.532
O125 0.884 0.759 0.586
O126 0.888 0.584 0.978
O127 0.890 0.752 0.861
O128 0.892 0.923 0.594
O129 0.895 0.261 0.930
O130 0.898 0.099 0.919
O131 0.913 0.589 0.263
O132 0.916 0.426 0.247
O133 0.920 0.763 0.262
O134 0.923 0.119 0.310
O135 0.924 0.893 0.200
O136 0.926 0.108 0.591
O137 0.927 0.250 0.249
O138 0.931 0.238 0.531
O139 0.934 0.566 0.867
O140 0.936 0.437 0.643
O141 0.938 0.568 0.583
O142 0.942 0.773 0.982
O143 0.945 0.439 0.928
O144 0.946 0.914 0.918
```